A plane-wave DFT calculation with GGA-PBE was carried out for a relaxed structure of NaSrYSeO6.

The mass density comes out at 4.76 g/cm³. As for the volume: 130.66 Å³/f.u. As for the formation enthalpy at 0 K: -2426.0 meV per atom. The value obtained for the calculated total energy is -6.28 eV/atom.

The space group is F-43m (No. 216) and the conventional cell measures 8.055, 8.055 and 8.055 Å, with angles of 90.00, 90.00 and 90.00 degrees. The asymmetric unit holds Na at (0.000, 0.000, 0.000), Sr at (0.000, 0.000, 0.500), Y at (0.250, 0.250, 0.750), Se at (0.250, 0.250, 0.250) and O at (0.024, 0.250, 0.250).

A plane-wave DFT calculation with GGA-PBE was carried out for a relaxed structure of NaYSe2O6.

As for the maximum piezoelectric response: 0.606 C/m2. The mass density comes out at 3.93 g/cm³. As for the volume: 154.55 Å³/f.u. As for the formation enthalpy at 0 K: -2185.2 meV per atom. The value obtained for the calculated total energy is -6.22 eV/atom.

The space group is Pna2_1 (No. 33) and the conventional cell measures 12.965, 8.708 and 5.476 Å, with angles of 90.00, 90.00 and 90.00 degrees. The asymmetric unit holds Na at (0.118, 0.010, 0.000), Y at (0.086, 0.675, 0.451), Se at (0.080, 0.267, 0.503), Se at (0.203, 0.470, 0.956), O at (0.013, 0.152, 0.704), O at (0.016, 0.437, 0.588), O at (0.026, 0.220, 0.226), O at (0.174, 0.903, 0.406), O at (0.202, 0.628, 0.765) and O at (0.215, 0.549, 0.246).